[1]
This record from the Materials Project database describes a relaxed V2H10Se2O13 crystal. The functional is PBE with a Hubbard U.

Output
ρ   2.73 g cm⁻³
Size of the total moment   2.0 μB/f.u.
Energy of formation from the pure elements   -1.518 eV/atom
SG   C2/c

abc: 9.933 9.933 10.779
angles: 114.31 114.31 37.40
Fractional positions:
V 0.067 0.660 0.894
V 0.340 0.933 0.606
V 0.660 0.067 0.394
V 0.933 0.340 0.106
H 0.046 0.580 0.116
H 0.102 0.164 0.855
H 0.161 0.787 0.450
H 0.164 0.102 0.355
H 0.213 0.839 0.050
H 0.318 0.650 0.121
H 0.350 0.682 0.379
H 0.361 0.549 0.735
H 0.420 0.954 0.384
H 0.451 0.639 0.765
H 0.549 0.361 0.235
H 0.580 0.046 0.616
H 0.639 0.451 0.265
H 0.650 0.318 0.621
H 0.682 0.350 0.879
H 0.787 0.161 0.950
H 0.836 0.898 0.645
H 0.839 0.213 0.550
H 0.898 0.836 0.145
H 0.954 0.420 0.884
Se 0.084 0.516 0.384
Se 0.484 0.916 0.116
Se 0.516 0.084 0.884
Se 0.916 0.484 0.616
O 0.010 0.236 0.593
O 0.023 0.300 0.925
O 0.085 0.428 0.206
O 0.115 0.649 0.757
O 0.191 0.759 0.053
O 0.236 0.010 0.093
O 0.241 0.809 0.447
O 0.300 0.023 0.425
O 0.351 0.885 0.743
O 0.356 0.359 0.949
O 0.359 0.356 0.449
O 0.428 0.085 0.706
O 0.499 0.501 0.750
O 0.501 0.499 0.250
O 0.572 0.915 0.294
O 0.641 0.644 0.551
O 0.644 0.641 0.051
O 0.649 0.115 0.257
O 0.700 0.977 0.575
O 0.759 0.191 0.553
O 0.764 0.990 0.907
O 0.809 0.241 0.947
O 0.885 0.351 0.243
O 0.915 0.572 0.794
O 0.977 0.700 0.075
O 0.990 0.764 0.407

***

[2]
This record from the Materials Project database describes a relaxed V2H2Se2O13 crystal. The functional is PBE with a Hubbard U.

Output
ρ   2.81 g cm⁻³
Size of the total moment   6.0 μB/f.u.
Energy of formation from the pure elements   -1.074 eV/atom
SG   C2/c

abc: 10.182 10.182 10.602
angles: 119.64 119.64 36.33
Fractional positions:
V 0.104 0.646 0.907
V 0.354 0.896 0.593
V 0.646 0.104 0.407
V 0.896 0.354 0.093
H 0.167 0.767 0.441
H 0.233 0.833 0.059
H 0.767 0.167 0.941
H 0.833 0.233 0.559
Se 0.072 0.532 0.391
Se 0.468 0.928 0.109
Se 0.532 0.072 0.891
Se 0.928 0.468 0.609
O 0.022 0.221 0.587
O 0.037 0.276 0.937
O 0.059 0.435 0.202
O 0.132 0.621 0.757
O 0.196 0.764 0.055
O 0.221 0.022 0.087
O 0.236 0.804 0.445
O 0.276 0.037 0.437
O 0.354 0.373 0.459
O 0.373 0.354 0.959
O 0.379 0.621 0.250
O 0.379 0.868 0.743
O 0.435 0.059 0.702
O 0.565 0.941 0.298
O 0.621 0.132 0.257
O 0.621 0.379 0.750
O 0.627 0.646 0.041
O 0.646 0.627 0.541
O 0.724 0.963 0.563
O 0.764 0.196 0.555
O 0.779 0.978 0.913
O 0.804 0.236 0.945
O 0.868 0.379 0.243
O 0.941 0.565 0.798
O 0.963 0.724 0.063
O 0.978 0.779 0.413